Material: InSiH11C3Br3N
Method: DFT, GGA-PBE
State: relaxed

Lattice parameters (Å, degrees): 9.3862 11.3784 13.7996 90.00 105.36 90.00
Fractional coordinates of all 80 atoms:
In  0.0260  0.1459  0.3017
In  0.0260  0.3541  0.8017
In  0.9740  0.6459  0.1983
In  0.9740  0.8541  0.6983
Si  0.3490  0.2138  0.2163
Si  0.3490  0.2862  0.7163
Si  0.6510  0.7138  0.2837
Si  0.6510  0.7862  0.7837
H  0.0936  0.2444  0.6451
H  0.0936  0.2556  0.1451
H  0.1557  0.1640  0.7456
H  0.1557  0.3360  0.2456
H  0.2670  0.0742  0.0743
H  0.2670  0.4258  0.5743
H  0.2853  0.0012  0.1912
H  0.2853  0.4988  0.6912
H  0.3408  0.1650  0.5646
H  0.3408  0.3350  0.0646
H  0.3985  0.0801  0.6761
H  0.3985  0.4199  0.1761
H  0.4198  0.1510  0.3964
H  0.4198  0.3490  0.8964
H  0.4241  0.6856  0.1479
H  0.4241  0.8144  0.6479
H  0.4451  0.0377  0.1514
H  0.4451  0.4623  0.6514
H  0.4691  0.1992  0.8831
H  0.4691  0.3008  0.3831
H  0.4759  0.6793  0.8571
H  0.4759  0.8207  0.3571
H  0.5241  0.1793  0.6429
H  0.5241  0.3207  0.1429
H  0.5309  0.6992  0.6169
H  0.5309  0.8008  0.1169
H  0.5549  0.5377  0.3486
H  0.5549  0.9623  0.8486
H  0.5759  0.1856  0.3521
H  0.5759  0.3144  0.8521
H  0.5802  0.6510  0.1036
H  0.5802  0.8490  0.6036
H  0.6015  0.5801  0.8239
H  0.6015  0.9199  0.3239
H  0.6592  0.6650  0.9354
H  0.6592  0.8350  0.4354
H  0.7147  0.5012  0.3088
H  0.7147  0.9988  0.8088
H  0.7330  0.5742  0.4257
H  0.7330  0.9258  0.9257
H  0.8443  0.6640  0.7544
H  0.8443  0.8360  0.2544
H  0.9064  0.7444  0.8549
H  0.9064  0.7556  0.3549
C  0.3343  0.0682  0.1525
C  0.3343  0.4318  0.6525
C  0.4079  0.1666  0.6429
C  0.4079  0.3334  0.1429
C  0.4623  0.2127  0.3495
C  0.4623  0.2873  0.8495
C  0.5377  0.7127  0.1505
C  0.5377  0.7873  0.6505
C  0.5921  0.6666  0.8571
C  0.5921  0.8334  0.3571
C  0.6657  0.5682  0.3475
C  0.6657  0.9318  0.8475
Br  0.0254  0.7088  0.5734
Br  0.0254  0.7912  0.0734
Br  0.1656  0.5324  0.8850
Br  0.1656  0.9676  0.3850
Br  0.2045  0.5794  0.3283
Br  0.2045  0.9206  0.8283
Br  0.7955  0.0794  0.1717
Br  0.7955  0.4206  0.6717
Br  0.8344  0.0324  0.6150
Br  0.8344  0.4676  0.1150
Br  0.9746  0.2088  0.9266
Br  0.9746  0.2912  0.4266
N  0.1582  0.2482  0.7181
N  0.1582  0.2518  0.2181
N  0.8418  0.7482  0.7819
N  0.8418  0.7518  0.2819

Calculated values
Magnetization: 0.00 μB per formula unit
Total energy after the MP2020 corrections: -4.749 eV/atom
Energy: -378.5 eV/cell
Energy of formation from the pure elements: -0.4273 eV per atom

=====

Material: LaH15C5Br3O5
Method: DFT, GGA-PBE
State: relaxed

Lattice parameters (Å, degrees): 13.3082 9.8664 13.1949 90.00 90.00 90.00
Fractional coordinates of all 116 atoms:
La  0.1047  0.1239  0.0000
La  0.3953  0.6239  0.5000
La  0.6047  0.3761  0.0000
La  0.8953  0.8761  0.5000
H  0.0241  0.2270  0.5603
H  0.0251  0.4790  0.4689
H  0.0377  0.5496  0.3449
H  0.0580  0.1682  0.6835
H  0.0588  0.7477  0.1700
H  0.0832  0.5020  0.8875
H  0.1148  0.4556  0.6409
H  0.1578  0.4131  0.1819
H  0.1797  0.3321  0.3894
H  0.1871  0.5265  0.0785
H  0.2081  0.7560  0.8391
H  0.2122  0.5027  0.7298
H  0.2168  0.9262  0.6326
H  0.2315  0.3610  0.6536
H  0.2359  0.7455  0.9722
H  0.2641  0.2455  0.4722
H  0.2685  0.8610  0.1536
H  0.2832  0.4262  0.1326
H  0.2878  0.0027  0.2298
H  0.2919  0.2560  0.3391
H  0.3129  0.0265  0.5785
H  0.3203  0.8321  0.8894
H  0.3422  0.9131  0.6819
H  0.3852  0.9556  0.1409
H  0.4168  0.0020  0.3875
H  0.4412  0.2477  0.6700
H  0.4420  0.6682  0.1835
H  0.4623  0.0496  0.8449
H  0.4749  0.9790  0.9689
H  0.4759  0.7270  0.0603
H  0.5241  0.2730  0.5603
H  0.5251  0.0210  0.4689
H  0.5377  0.9504  0.3449
H  0.5580  0.3318  0.6835
H  0.5588  0.7523  0.1700
H  0.5832  0.9980  0.8875
H  0.6148  0.0444  0.6409
H  0.6578  0.0869  0.1819
H  0.6797  0.1679  0.3894
H  0.6871  0.9735  0.0785
H  0.7081  0.7440  0.8391
H  0.7122  0.9973  0.7298
H  0.7168  0.5738  0.6326
H  0.7315  0.1390  0.6536
H  0.7359  0.7545  0.9722
H  0.7641  0.2545  0.4722
H  0.7685  0.6390  0.1536
H  0.7832  0.0738  0.1326
H  0.7878  0.4973  0.2298
H  0.7919  0.2440  0.3391
H  0.8129  0.4735  0.5785
H  0.8203  0.6679  0.8894
H  0.8422  0.5869  0.6819
H  0.8852  0.5444  0.1409
H  0.9168  0.4980  0.3875
H  0.9412  0.2523  0.6700
H  0.9420  0.8318  0.1835
H  0.9623  0.4504  0.8449
H  0.9749  0.5210  0.9689
H  0.9759  0.7730  0.0603
C  0.0069  0.8180  0.1307
C  0.0119  0.4546  0.9126
C  0.1968  0.4638  0.6519
C  0.2022  0.4252  0.1117
C  0.2402  0.8116  0.9043
C  0.2598  0.3116  0.4043
C  0.2978  0.9252  0.6117
C  0.3032  0.9638  0.1519
C  0.4881  0.9546  0.4126
C  0.4931  0.3180  0.6307
C  0.5069  0.6820  0.1307
C  0.5119  0.0454  0.9126
C  0.6968  0.0362  0.6519
C  0.7022  0.0748  0.1117
C  0.7402  0.6884  0.9043
C  0.7598  0.1884  0.4043
C  0.7978  0.5748  0.6117
C  0.8032  0.5362  0.1519
C  0.9881  0.5454  0.4126
C  0.9931  0.1820  0.6307
Br  0.0118  0.8350  0.7169
Br  0.0822  0.0060  0.3727
Br  0.2260  0.1358  0.8016
Br  0.2740  0.6358  0.3016
Br  0.4178  0.5060  0.8727
Br  0.4882  0.3350  0.2169
Br  0.5118  0.6650  0.7169
Br  0.5822  0.4940  0.3727
Br  0.7260  0.3642  0.8016
Br  0.7740  0.8642  0.3016
Br  0.9178  0.9940  0.8727
Br  0.9882  0.1650  0.2169
O  0.0271  0.3248  0.9491
O  0.0519  0.9408  0.1119
O  0.1860  0.3234  0.0422
O  0.1862  0.9290  0.9226
O  0.2419  0.5470  0.5821
O  0.2581  0.0470  0.0821
O  0.3138  0.4290  0.4226
O  0.3140  0.8234  0.5422
O  0.4481  0.4408  0.6119
O  0.4729  0.8248  0.4491
O  0.5271  0.1752  0.9491
O  0.5519  0.5592  0.1119
O  0.6860  0.1766  0.0422
O  0.6862  0.5710  0.9226
O  0.7419  0.9530  0.5821
O  0.7581  0.4530  0.0821
O  0.8138  0.0710  0.4226
O  0.8140  0.6766  0.5422
O  0.9481  0.0592  0.6119
O  0.9729  0.6752  0.4491

Calculated values
Magnetization: 1.14 μB per formula unit
Total energy after the MP2020 corrections: -5.053 eV/atom
Energy: -572.4 eV/cell
Energy of formation from the pure elements: -0.5146 eV per atom

=====

Material: LiH20C8BrO4
Method: DFT, GGA-PBE
State: relaxed

Lattice parameters (Å, degrees): 7.8397 7.8397 12.3830 95.49 95.49 62.43
Fractional coordinates of all 68 atoms:
Li  0.0614  0.9386  0.7500
Li  0.9386  0.0614  0.2500
H  0.0826  0.3549  0.7510
H  0.0988  0.3579  0.0895
H  0.1065  0.1588  0.5777
H  0.1153  0.5622  0.5974
H  0.1524  0.7024  0.0249
H  0.1588  0.1065  0.0777
H  0.2196  0.2277  0.8668
H  0.2277  0.2196  0.3668
H  0.2288  0.5738  0.4801
H  0.2478  0.5500  0.9052
H  0.2672  0.3417  0.2633
H  0.2976  0.8476  0.4751
H  0.3417  0.2672  0.7633
H  0.3550  0.0826  0.2510
H  0.3579  0.0988  0.5895
H  0.3658  0.5041  0.6081
H  0.4262  0.7712  0.0199
H  0.4378  0.8847  0.9026
H  0.4500  0.7522  0.5948
H  0.4959  0.6342  0.8919
H  0.5041  0.3658  0.1081
H  0.5500  0.2478  0.4052
H  0.5622  0.1153  0.0974
H  0.5738  0.2288  0.9801
H  0.6342  0.4959  0.3919
H  0.6421  0.9012  0.4105
H  0.6450  0.9174  0.7490
H  0.6583  0.7328  0.2367
H  0.7024  0.1524  0.5249
H  0.7328  0.6583  0.7367
H  0.7522  0.4500  0.0948
H  0.7712  0.4262  0.5199
H  0.7723  0.7804  0.6332
H  0.7804  0.7723  0.1332
H  0.8412  0.8935  0.9223
H  0.8476  0.2976  0.9751
H  0.8847  0.4378  0.4026
H  0.8935  0.8412  0.4223
H  0.9012  0.6421  0.9105
H  0.9174  0.6451  0.2490
C  0.0555  0.2501  0.1109
C  0.1466  0.6971  0.9351
C  0.2216  0.2384  0.7791
C  0.2236  0.5969  0.5691
C  0.2384  0.2216  0.2791
C  0.2501  0.0555  0.6109
C  0.3029  0.8534  0.5649
C  0.4031  0.7764  0.9309
C  0.5969  0.2236  0.0691
C  0.6971  0.1466  0.4351
C  0.7499  0.9445  0.3891
C  0.7616  0.7784  0.7209
C  0.7764  0.4031  0.4309
C  0.7784  0.7616  0.2209
C  0.8534  0.3029  0.0649
C  0.9445  0.7499  0.8891
Br  0.2608  0.7392  0.2500
Br  0.7392  0.2608  0.7500
O  0.0567  0.2489  0.2268
O  0.1680  0.7963  0.6004
O  0.2037  0.8320  0.8996
O  0.2489  0.0567  0.7268
O  0.7511  0.9433  0.2732
O  0.7963  0.1680  0.1004
O  0.8320  0.2037  0.3996
O  0.9433  0.7511  0.7732

Calculated values
Magnetization: 0.00 μB per formula unit
Total energy after the MP2020 corrections: -5.325 eV/atom
Energy: -356.6 eV/cell
Energy of formation from the pure elements: -0.4713 eV per atom